Below is Fe2PClO4 after structural relaxation, with properties calculated at the PBE with a Hubbard U level.

Cell lengths 8.3470, 8.3470, 9.4629 Å; angles 123.80, 123.80, 68.58 degrees
Last column: nearest neighbours and their distance in Å.
Sites, in units of the cell vectors:
Fe 0.0000 0.0000 0.0000  4 O 2.13-2.24
Fe 0.1983 0.1760 0.9293  3 O 1.97-2.19
Fe 0.2693 0.7277 0.2490  4 O 2.04-2.27
Fe 0.2723 0.7306 0.7510  4 O 2.04-2.27
Fe 0.3431 0.2838 0.5730  3 O 1.97-2.16
Fe 0.5451 0.4549 0.5000  4 O 2.12-2.24
Fe 0.7162 0.6569 0.4270  3 O 1.97-2.16
Fe 0.8240 0.8017 0.0707  3 O 1.97-2.19
P 0.0297 0.5048 0.7635  4 O 1.51-1.59
P 0.0493 0.4859 0.2660  4 O 1.51-1.59
P 0.4952 0.9703 0.2365  4 O 1.51-1.59
P 0.5141 0.9507 0.7340  4 O 1.51-1.59
Cl 0.0755 0.0642 0.3215  4 Fe 2.50-2.62
Cl 0.4663 0.3929 0.1774  4 Fe 2.49-2.62
Cl 0.6071 0.5337 0.8226  4 Fe 2.49-2.62
Cl 0.9358 0.9245 0.6785  4 Fe 2.50-2.62
O 0.0426 0.6969 0.9550  1 P 1.59
O 0.0531 0.2831 0.0972  1 P 1.56
O 0.0526 0.6438 0.2277  1 P 1.56
O 0.0654 0.3265 0.7853  1 P 1.51
O 0.1865 0.5121 0.7260  1 P 1.56
O 0.2422 0.4998 0.4568  1 P 1.59
O 0.3031 0.9574 0.0450  1 P 1.59
O 0.3562 0.9474 0.7723  1 P 1.56
O 0.4831 0.1268 0.7108  1 P 1.51
O 0.4879 0.8135 0.2740  1 P 1.56
O 0.4930 0.1728 0.4052  1 P 1.55
O 0.5002 0.7578 0.5432  1 P 1.59
O 0.6735 0.9346 0.2147  1 P 1.51
O 0.7169 0.9469 0.9028  1 P 1.56
O 0.8272 0.5070 0.5948  1 P 1.55
O 0.8732 0.5169 0.2892  1 P 1.51

Results
The value obtained for the density is 3.5 g/cm³. Its formation enthalpy at 0 K is -2.04 eV/atom. The calculation puts the corrected total energy (MP2020 scheme) at -7.54 eV per atom.